[1]
40
Lattice="8.618 0.000 0.000 0.000 8.618 0.000 0.000 0.000 8.618" Properties=species:S:1:pos:R:3 comment="SrEuCo2O6 (GGA+U, relaxed)" formation_energy_mev_per_atom=-1618 energy_mp2020_ev_per_fu=-72.0 polymorph_energy_mev_per_atom=440 sg=Pm-3m vol_a3_per_atom=16.00 pbc="T T T"
Sr 0.000 0.000 0.000
Sr 0.000 0.000 4.309
Sr 0.000 4.309 0.000
Sr 4.309 0.000 0.000
Eu 0.000 4.309 4.309
Eu 4.309 0.000 4.309
Eu 4.309 4.309 0.000
Eu 4.309 4.309 4.309
Co 2.148 2.148 2.148
Co 2.148 2.148 6.470
Co 2.148 6.470 2.148
Co 2.148 6.470 6.470
Co 6.470 2.148 2.148
Co 6.470 2.148 6.470
Co 6.470 6.470 2.148
Co 6.470 6.470 6.470
O 0.000 2.161 2.161
O 0.000 2.161 6.457
O 0.000 6.457 2.161
O 0.000 6.457 6.457
O 2.161 0.000 2.161
O 2.161 0.000 6.457
O 2.161 2.161 0.000
O 2.164 2.164 4.309
O 2.164 4.309 2.164
O 2.164 4.309 6.454
O 2.161 6.457 0.000
O 2.164 6.454 4.309
O 4.309 2.164 2.164
O 4.309 2.164 6.454
O 4.309 6.454 2.164
O 4.309 6.454 6.454
O 6.457 0.000 2.161
O 6.457 0.000 6.457
O 6.457 2.161 0.000
O 6.454 2.164 4.309
O 6.454 4.309 2.164
O 6.454 4.309 6.454
O 6.457 6.457 0.000
O 6.454 6.454 4.309

=====

[2]
18
Lattice="5.425 0.000 0.000 0.000 5.425 0.000 0.000 0.000 7.657" Properties=species:S:1:pos:R:3 comment="SrEuCo4O12 (GGA+U, relaxed)" formation_energy_mev_per_atom=-1011 energy_mp2020_ev_per_fu=-118.0 sg=P4/mmm vol_a3_per_atom=12.52 pbc="T T T"
Sr 0.000 0.000 0.000
Eu 2.713 2.713 3.829
Co 0.000 2.713 1.871
Co 0.000 2.713 5.786
Co 2.713 0.000 1.871
Co 2.713 0.000 5.786
O 0.000 2.713 0.000
O 0.000 2.713 3.829
O 1.394 1.394 1.972
O 1.394 1.394 5.685
O 1.394 4.032 1.972
O 1.394 4.032 5.685
O 2.713 0.000 0.000
O 2.713 0.000 3.829
O 4.032 1.394 1.972
O 4.032 1.394 5.685
O 4.032 4.032 1.972
O 4.032 4.032 5.685

=====

[3]
10
Lattice="3.789 0.000 0.000 0.000 3.789 0.000 0.000 0.000 7.676" Properties=species:S:1:pos:R:3 comment="SrEuCo2O6 (GGA+U, relaxed)" formation_energy_mev_per_atom=-2058 energy_mp2020_ev_per_fu=-76.4 polymorph_energy_mev_per_atom=0 sg=P4/mmm vol_a3_per_atom=11.02 pbc="T T T"
Sr 0.000 0.000 0.000
Eu 0.000 0.000 3.838
Co 1.894 1.894 1.899
Co 1.894 1.894 5.777
O 0.000 1.894 2.077
O 0.000 1.894 5.599
O 1.894 0.000 2.077
O 1.894 0.000 5.599
O 1.894 1.894 0.000
O 1.894 1.894 3.838

=====

[4]
10
Lattice="0.000 4.041 4.041 4.041 0.000 4.041 4.041 4.041 0.000" Properties=species:S:1:pos:R:3 comment="SrTbEuCoO6 (GGA+U, relaxed)" formation_energy_mev_per_atom=-2611 energy_mp2020_ev_per_fu=-79.5 polymorph_energy_mev_per_atom=0 sg=F-43m vol_a3_per_atom=13.20 pbc="T T T"
Sr 0.000 0.000 0.000
Tb 2.021 2.021 2.021
Eu 4.041 4.041 4.041
Co 6.062 6.062 6.062
O 6.062 6.062 4.205
O 6.062 4.205 6.062
O 7.918 6.062 6.062
O 4.205 6.062 6.062
O 6.062 7.918 6.062
O 6.062 6.062 7.918

=====

[5]
88
Lattice="6.396 -3.732 0.000 6.396 3.732 0.000 -4.150 0.000 24.551" Properties=species:S:1:pos:R:3 comment="Na2FeCoF7 (GGA+U, relaxed)" formation_energy_mev_per_atom=-2712 energy_mp2020_ev_per_fu=-61.5 sg=C2/c vol_a3_per_atom=13.32 pbc="T T T"
Na 0.000 0.000 0.000
Na -2.075 0.000 12.276
Na 3.198 1.866 0.000
Na -2.036 0.025 21.560
Na 0.039 -0.025 9.284
Na 0.108 0.308 18.451
Na 3.284 2.108 18.413
Na 2.183 -0.308 6.176
Na 1.123 -1.866 12.276
Na 6.396 0.000 0.000
Na 4.321 0.000 12.276
Na 6.459 0.308 18.375
Na 5.359 -2.108 6.138
Na 8.535 -0.308 6.100
Na 8.603 0.025 15.267
Na 10.678 -0.025 2.991
Fe 1.123 1.866 12.276
Fe 1.139 1.958 21.475
Fe 5.359 1.891 6.138
Fe 5.428 1.958 15.352
Fe 3.198 -1.866 0.000
Fe 3.215 -1.958 9.199
Fe 3.284 -1.891 18.413
Fe 7.503 -1.958 3.076
Co 3.220 1.788 9.177
Co 2.235 0.063 15.408
Co 4.310 -0.063 3.132
Co 7.498 1.788 3.098
Co 1.144 -1.788 21.453
Co 4.332 0.063 21.419
Co 6.407 -0.063 9.144
Co 5.423 -1.788 15.374
F -2.238 0.416 19.413
F 0.987 2.261 19.527
F -1.617 0.036 14.963
F 0.458 -0.036 2.687
F 2.997 1.446 2.708
F 0.847 1.384 16.052
F 0.217 0.278 11.497
F 2.704 1.667 11.152
F 3.717 1.862 7.198
F -0.163 -0.416 7.138
F 1.283 1.686 23.431
F -1.858 -0.278 23.773
F 2.064 0.599 13.424
F 3.540 1.603 15.736
F 0.512 0.136 21.091
F 3.027 1.603 21.090
F 5.675 1.247 2.437
F 2.587 -0.136 8.816
F 5.042 1.247 9.838
F 5.581 2.261 17.300
F 4.499 0.413 5.132
F 5.284 1.686 13.395
F 7.001 1.862 5.077
F 8.013 1.667 1.123
F 4.139 -0.599 1.148
F 0.922 -1.446 14.984
F 2.922 -1.384 3.777
F 2.424 -0.413 17.408
F 6.219 0.413 7.143
F 5.720 1.384 20.774
F 7.720 1.446 9.567
F 4.504 0.599 23.403
F 0.629 -1.667 23.428
F 1.642 -1.862 19.474
F 3.359 -1.686 11.156
F 4.144 -0.413 19.419
F 3.062 -2.261 7.251
F 3.600 -1.247 14.713
F 6.056 0.136 15.735
F 2.967 -1.247 22.114
F 5.615 -1.603 3.461
F 8.131 -0.136 3.460
F 5.103 -1.603 8.815
F 6.579 -0.599 11.128
F 10.501 0.278 0.779
F 7.359 -1.686 1.120
F 8.805 0.416 17.413
F 4.925 -1.862 17.353
F 5.938 -1.667 13.399
F 8.426 -0.278 13.054
F 7.796 -1.384 8.499
F 5.645 -1.446 21.843
F 8.185 0.036 21.864
F 10.260 -0.036 9.588
F 7.656 -2.261 5.024
F 10.881 -0.416 5.138

=====

[6]
32
Lattice="6.566 -3.253 0.000 6.566 3.253 0.000 -4.724 0.000 8.743" Properties=species:S:1:pos:R:3 comment="FeCoPO4F (GGA+U, relaxed)" formation_energy_mev_per_atom=-2268 energy_mp2020_ev_per_fu=-60.8 sg=Cc vol_a3_per_atom=11.67 pbc="T T T"
Fe 4.204 2.558 4.372
Fe 3.880 1.355 7.485
Fe 6.242 -1.355 3.114
Fe 6.566 -2.558 0.000
Co 3.095 0.683 1.942
Co 0.733 -0.683 6.313
Co 7.756 1.555 3.273
Co 5.394 -1.555 7.645
P 6.161 0.638 0.498
P 3.799 -0.638 4.870
P 10.199 0.628 1.483
P 7.837 -0.628 5.855
O 0.475 1.398 6.354
O 2.805 2.307 5.893
O 4.661 0.985 0.568
O 2.286 1.852 8.734
O 4.056 0.511 3.857
O 2.837 -1.398 1.983
O 2.299 -0.985 4.939
O 1.694 -0.511 8.228
O 6.665 0.265 1.925
O 4.303 -0.265 6.296
O 9.794 0.288 0.026
O 7.537 0.574 6.798
O 7.432 -0.288 4.397
O 5.168 -2.307 1.522
O 4.648 -1.852 4.363
O 9.899 -0.574 2.426
F 2.003 0.913 0.105
F 1.091 0.534 2.646
F -1.271 -0.534 7.017
F -0.359 -0.913 4.477

=====

| no. | magnetic moment (μB per formula unit) |
| --- | --- |
| 1 | 9.0 |
| 2 | 17.7 |
| 3 | 9.0 |
| 4 | 5.0 |
| 5 | 8.0 |
| 6 | 7.0 |